40
Lattice="-0.807 12.039 -3.745 -0.110 -2.075 -6.646 -13.407 -0.807 0.294" Properties=species:S:1:pos:R:3 comment="KDy2Cl7 (GGA-PBE, optimized geometry)" e_tot_ev_per_atom=-4.57 formation_energy_ev_per_atom=-2.673 pbc="T T T"
K -13.158 0.100 -5.395
K -7.789 7.465 -4.184
K -1.165 9.057 -4.701
K -6.535 1.692 -5.912
Dy -10.853 7.910 -8.065
Dy -10.321 3.028 -2.564
Dy -3.471 1.247 -2.032
Dy -4.003 6.129 -7.532
Dy -10.736 4.359 -6.608
Dy -9.950 -0.707 -1.754
Dy -3.588 4.798 -3.488
Dy -4.374 9.864 -8.342
Cl -8.820 6.206 -7.400
Cl -12.104 1.015 -2.072
Cl -5.503 2.951 -2.696
Cl -2.220 8.143 -8.024
Cl -11.687 6.758 -5.737
Cl -9.264 0.874 -3.863
Cl -2.636 2.400 -4.359
Cl -5.059 8.283 -6.233
Cl -11.729 5.468 -8.850
Cl -9.184 1.585 -0.570
Cl -2.595 3.690 -1.247
Cl -5.140 7.572 -9.526
Cl -9.155 9.557 -6.753
Cl -12.155 3.424 -4.511
Cl -5.168 -0.400 -3.343
Cl -2.169 5.733 -5.585
Cl -9.106 10.388 -3.520
Cl -12.183 2.271 -7.644
Cl -5.218 -1.231 -6.576
Cl -2.141 6.886 -2.452
Cl -12.448 9.886 -7.073
Cl -8.941 4.275 -4.558
Cl -1.875 -0.729 -3.023
Cl -5.382 4.883 -5.539
Cl -12.423 10.578 -3.506
Cl -8.915 2.821 -7.888
Cl -1.901 -1.421 -6.590
Cl -5.408 6.336 -2.208